Record 1
Density functional theory data (PBE-GGA) for a relaxed structure of ReW4.

## Properties
The value obtained for the total energy is -12.81 eV per atom. As for the space group: Fmmm (69).

Geometry as POSCAR:
```
ReW4
1.0
8.256 4.184 6.693
9.028 5.287 4.295
-1.474 1.832 1.428
W Re
4 1
Direct
0.200 0.200 0.800
0.400 0.400 0.600
0.800 0.800 0.200
0.600 0.600 0.400
0.000 0.000 0.000
```

Record 2
Density functional theory data (PBE-GGA) for a relaxed structure of TbCuTe2.

## Properties
The value obtained for the total energy is -4.57 eV per atom. As for the space group: P-3m1 (164).

Geometry as POSCAR:
```
TbCuTe2
1.0
-2.124 -3.679 0.000
-2.124 3.679 0.000
0.000 0.000 -6.722
Te Tb Cu
2 1 1
Direct
0.333 0.667 0.279
0.667 0.333 0.721
0.000 0.000 0.000
0.000 0.000 0.500
```

Formation energy from the elements values (in eV/atom) by entry order: 0.042 -1.023.